{"formula": "Eu2CuH4S2O12", "functional": "PBE-GGA", "state": "relaxed", "lattice": [[-1.0255, -3.8662, 5.7313], [6.0419, 1.2478, 1.9228], [-2.0087, 9.0827, 5.7674]], "species": ["Eu", "Eu", "Eu", "Eu", "Cu", "Cu", "H", "H", "H", "H", "H", "H", "H", "H", "S", "S", "S", "S", "O", "O", "O", "O", "O", "O", "O", "O", "O", "O", "O", "O", "O", "O", "O", "O", "O", "O", "O", "O", "O", "O", "O", "O"], "frac_coords": [[0.5124, 0.0829, 0.6750], [0.0124, 0.9171, 0.8250], [0.4876, 0.9171, 0.3250], [0.9876, 0.0829, 0.1750], [0.5000, 0.0000, 0.0000], [0.0000, 0.0000, 0.5000], [0.6982, 0.7561, 0.1185], [0.1982, 0.2439, 0.3815], [0.3018, 0.2439, 0.8815], [0.8018, 0.7561, 0.6185], [0.6062, 0.7269, 0.8955], [0.1062, 0.2731, 0.6045], [0.3938, 0.2731, 0.1045], [0.8938, 0.7269, 0.3955], [0.6727, 0.3587, 0.3693], [0.1727, 0.6413, 0.1307], [0.3273, 0.6413, 0.6307], [0.8273, 0.3587, 0.8693], [0.6697, 0.9005, 0.1299], [0.1697, 0.0995, 0.3701], [0.3303, 0.0995, 0.8701], [0.8303, 0.9005, 0.6299], [0.6445, 0.8752, 0.8835], [0.1445, 0.1248, 0.6165], [0.3555, 0.1248, 0.1165], [0.8555, 0.8752, 0.3835], [0.6967, 0.2512, 0.2569], [0.1967, 0.7488, 0.2431], [0.3033, 0.7488, 0.7431], [0.8033, 0.2512, 0.7569], [0.5547, 0.2033, 0.4551], [0.0547, 0.7967, 0.0449], [0.4453, 0.7967, 0.5449], [0.9453, 0.2033, 0.9551], [0.5610, 0.5514, 0.3361], [0.0610, 0.4486, 0.1639], [0.4390, 0.4486, 0.6639], [0.9390, 0.5514, 0.8361], [0.8558, 0.3978, 0.4262], [0.3558, 0.6022, 0.0738], [0.1442, 0.6022, 0.5738], [0.6442, 0.3978, 0.9262]], "spacegroup": "P2_1/c", "formation_energy_ev_per_atom": -2.027, "magmom_total_mub_per_fu": 13.0}

***

{"formula": "Eu2CuIr", "functional": "PBE-GGA", "state": "relaxed", "lattice": [[1.3524, -4.6311, -1.3289], [-1.9600, -3.9533, 2.3604], [-3.2518, -2.9722, -2.3736]], "species": ["Eu", "Eu", "Cu", "Ir"], "frac_coords": [[0.2500, 0.2500, 0.2500], [0.7500, 0.7500, 0.7500], [0.5000, 0.5000, 0.5000], [0.0000, 0.0000, 0.0000]], "spacegroup": "Fm-3m", "formation_energy_ev_per_atom": -0.237}

***

{"formula": "KEu2CuS6", "functional": "PBE-GGA", "state": "relaxed", "lattice": [[-3.0073, -15.4424, 15.3710], [-3.5787, -9.7554, 19.0683], [-6.3931, -1.9439, -1.2993]], "species": ["K", "K", "K", "K", "Eu", "Eu", "Eu", "Eu", "Eu", "Eu", "Eu", "Eu", "Cu", "Cu", "Cu", "Cu", "S", "S", "S", "S", "S", "S", "S", "S", "S", "S", "S", "S", "S", "S", "S", "S", "S", "S", "S", "S", "S", "S", "S", "S"], "frac_coords": [[0.9990, 0.5010, 0.9990], [0.5010, 0.9990, 0.5010], [0.7490, 0.2510, 0.7490], [0.2510, 0.7490, 0.2510], [0.3407, 0.3407, 0.1593], [0.9093, 0.9093, 0.0907], [0.5932, 0.5932, 0.4068], [0.8432, 0.8432, 0.6568], [0.0907, 0.0907, 0.9093], [0.1593, 0.1593, 0.3407], [0.4068, 0.4068, 0.5932], [0.6568, 0.6568, 0.8432], [0.8343, 0.8343, 0.1657], [0.0843, 0.0843, 0.4157], [0.4157, 0.4157, 0.0843], [0.1657, 0.1657, 0.8343], [0.3759, 0.9042, 0.6272], [0.6409, 0.9493, 0.0525], [0.9042, 0.3759, 0.0927], [0.8928, 0.1975, 0.3007], [0.0525, 0.3572, 0.6409], [0.1110, 0.7854, 0.7041], [0.7041, 0.3994, 0.1110], [0.6091, 0.3007, 0.1975], [0.3572, 0.0525, 0.9493], [0.6228, 0.1573, 0.8741], [0.4646, 0.1390, 0.8506], [0.5459, 0.8506, 0.1390], [0.0927, 0.6272, 0.9042], [0.3994, 0.7041, 0.7854], [0.7854, 0.1110, 0.3994], [0.8741, 0.3458, 0.6228], [0.6272, 0.0927, 0.3759], [0.9493, 0.6409, 0.3572], [0.3458, 0.8741, 0.1573], [0.1390, 0.4646, 0.5459], [0.1975, 0.8928, 0.6091], [0.3007, 0.6091, 0.8928], [0.8506, 0.5459, 0.4646], [0.1573, 0.6228, 0.3458]], "spacegroup": "Fddd", "formation_energy_ev_per_atom": -1.396, "magmom_total_mub_per_fu": 12.0}

***

{"formula": "Eu4MgCu4O10", "functional": "PBE-GGA", "state": "relaxed", "lattice": [[0.0446, 0.0102, 5.3355], [5.5973, -0.0152, 0.0458], [-2.8432, 8.0810, -2.6751]], "species": ["Eu", "Eu", "Eu", "Eu", "Mg", "Cu", "Cu", "Cu", "Cu", "O", "O", "O", "O", "O", "O", "O", "O", "O", "O"], "frac_coords": [[0.6039, 0.1369, 0.2224], [0.4077, 0.8874, 0.7980], [0.1057, 0.5904, 0.2022], [0.8843, 0.4153, 0.7790], [0.0379, 0.5180, 0.5017], [0.0124, 0.0105, 0.0060], [0.5082, 0.5061, 0.9980], [0.2622, 0.1179, 0.4995], [0.6701, 0.8720, 0.5003], [0.2527, 0.2564, 0.9865], [0.2750, 0.7675, 0.0270], [0.7464, 0.2462, 0.9719], [0.7614, 0.7659, 0.0139], [0.1728, 0.2291, 0.3003], [0.9214, 0.7698, 0.6916], [0.7378, 0.5757, 0.3144], [0.3653, 0.4340, 0.6887], [0.8453, 0.1796, 0.4997], [0.3077, 0.7809, 0.4988]], "spacegroup": "P1", "formation_energy_ev_per_atom": -2.163, "magmom_total_mub_per_fu": 24.1}

***

{"formula": "NdEuCuS3", "functional": "PBE-GGA", "state": "relaxed", "lattice": [[4.0432, 0.0000, 0.0000], [0.0000, 11.0367, 0.0000], [0.0000, 0.0000, 11.4245]], "species": ["Nd", "Nd", "Nd", "Nd", "Eu", "Eu", "Eu", "Eu", "Cu", "Cu", "Cu", "Cu", "S", "S", "S", "S", "S", "S", "S", "S", "S", "S", "S", "S"], "frac_coords": [[0.2500, 0.0117, 0.1834], [0.2500, 0.5117, 0.3166], [0.7500, 0.9883, 0.8166], [0.7500, 0.4883, 0.6834], [0.2500, 0.6830, 0.9954], [0.2500, 0.1830, 0.5046], [0.7500, 0.3170, 0.0046], [0.7500, 0.8170, 0.4954], [0.2500, 0.2559, 0.7863], [0.2500, 0.7559, 0.7137], [0.7500, 0.7441, 0.2137], [0.7500, 0.2441, 0.2863], [0.2500, 0.1158, 0.9426], [0.2500, 0.6158, 0.5574], [0.7500, 0.8842, 0.0574], [0.7500, 0.3842, 0.4426], [0.2500, 0.4515, 0.8616], [0.2500, 0.9515, 0.6384], [0.7500, 0.5485, 0.1384], [0.7500, 0.0485, 0.3616], [0.2500, 0.2771, 0.1914], [0.2500, 0.7771, 0.3086], [0.7500, 0.7229, 0.8086], [0.7500, 0.2229, 0.6914]], "spacegroup": "Pnma", "formation_energy_ev_per_atom": -1.902, "magmom_total_mub_per_fu": 7.0}

***

{"formula": "EuCuO3", "functional": "PBE-GGA", "state": "relaxed", "lattice": [[3.2285, 7.4176, 0.0000], [-3.2285, 7.4176, 0.0000], [0.0000, 2.3057, 5.8674]], "species": ["Eu", "Eu", "Eu", "Eu", "Cu", "Cu", "Cu", "Cu", "O", "O", "O", "O", "O", "O", "O", "O", "O", "O", "O", "O"], "frac_coords": [[0.9764, 0.6502, 0.2059], [0.0236, 0.3498, 0.7941], [0.3498, 0.0236, 0.2941], [0.6502, 0.9764, 0.7059], [0.4974, 0.6737, 0.9958], [0.5026, 0.3263, 0.0042], [0.6737, 0.4974, 0.4958], [0.3263, 0.5026, 0.5042], [0.6654, 0.7312, 0.5062], [0.7075, 0.3625, 0.9902], [0.3346, 0.2688, 0.4938], [0.0127, 0.7027, 0.5327], [0.9873, 0.2973, 0.4673], [0.2973, 0.9873, 0.9673], [0.2925, 0.6375, 0.0098], [0.6375, 0.2925, 0.5098], [0.7027, 0.0127, 0.0327], [0.3625, 0.7075, 0.4902], [0.2688, 0.3346, 0.9938], [0.7312, 0.6654, 0.0062]], "spacegroup": "C2/c", "formation_energy_ev_per_atom": -1.980, "magmom_total_mub_per_fu": 6.0}

***

{"formula": "Eu2CuO4", "functional": "PBE-GGA", "state": "relaxed", "lattice": [[4.8199, -2.3390, 4.0172], [0.4089, -0.2965, 6.6772], [-3.7977, -1.1872, -5.3860]], "species": ["Eu", "Eu", "Cu", "O", "O", "O", "O"], "frac_coords": [[0.6479, 0.6479, 0.0000], [0.3521, 0.3521, 0.0000], [0.0000, 0.0000, 0.0000], [0.7500, 0.2500, 0.5000], [0.2500, 0.7500, 0.5000], [0.5000, 0.0000, 0.5000], [0.0000, 0.5000, 0.5000]], "spacegroup": "I4/mmm", "formation_energy_ev_per_atom": -2.527}

***

{"formula": "EuCuO3", "functional": "PBE-GGA", "state": "relaxed", "lattice": [[-1.1064, -2.6231, 2.5560], [2.8896, -2.2658, -1.0744], [2.2503, 1.6198, 2.6364]], "species": ["Eu", "Cu", "O", "O", "O"], "frac_coords": [[0.5000, 0.5000, 0.5000], [0.0000, 0.0000, 0.0000], [0.5000, 0.0000, 0.0000], [0.0000, 0.5000, 0.0000], [0.0000, 0.0000, 0.5000]], "spacegroup": "Pm-3m", "formation_energy_ev_per_atom": -1.984, "magmom_total_mub_per_fu": 6.3}

***

{"formula": "Sr2EuCu3Pb2O8", "functional": "PBE-GGA", "state": "relaxed", "lattice": [[-0.5105, 1.7491, -3.3843], [0.2100, -3.3964, -1.7871], [-15.9556, -1.7714, 1.4914]], "species": ["Sr", "Sr", "Eu", "Cu", "Cu", "Cu", "Pb", "Pb", "O", "O", "O", "O", "O", "O", "O", "O"], "frac_coords": [[0.0000, 0.0000, 0.7778], [0.0000, 0.0000, 0.2222], [0.0000, 0.0000, 0.0000], [0.0000, 0.0000, 0.5000], [0.5000, 0.5000, 0.8911], [0.5000, 0.5000, 0.1089], [0.5000, 0.5000, 0.3881], [0.5000, 0.5000, 0.6119], [0.0000, 0.5000, 0.9025], [0.5000, 0.0000, 0.0975], [0.0000, 0.5000, 0.0975], [0.5000, 0.0000, 0.9025], [0.0000, 0.0000, 0.3847], [0.5000, 0.5000, 0.7471], [0.5000, 0.5000, 0.2529], [0.0000, 0.0000, 0.6153]], "spacegroup": "P4/mmm", "formation_energy_ev_per_atom": -1.952, "magmom_total_mub_per_fu": 6.0}

***

{"formula": "EuCuSeO", "functional": "PBE-GGA", "state": "relaxed", "lattice": [[4.0222, 0.0000, 0.0000], [0.0000, 4.0222, 0.0000], [0.0000, 0.0000, 8.9927]], "species": ["Eu", "Eu", "Cu", "Cu", "Se", "Se", "O", "O"], "frac_coords": [[0.5000, 0.0000, 0.6250], [0.0000, 0.5000, 0.3750], [0.0000, 0.0000, 0.0000], [0.5000, 0.5000, 0.0000], [0.5000, 0.0000, 0.1640], [0.0000, 0.5000, 0.8360], [0.0000, 0.0000, 0.5000], [0.5000, 0.5000, 0.5000]], "spacegroup": "P4/nmm", "formation_energy_ev_per_atom": -1.792, "magmom_total_mub_per_fu": 6.2}

***

{"formula": "Eu2Ti12Cu9O36", "functional": "PBE-GGA", "state": "relaxed", "lattice": [[-3.7239, -3.7239, 3.7239], [0.0000, -7.4285, -7.4285], [7.4285, -7.4285, 0.0000]], "species": ["Eu", "Eu", "Ti", "Ti", "Ti", "Ti", "Ti", "Ti", "Ti", "Ti", "Ti", "Ti", "Ti", "Ti", "Cu", "Cu", "Cu", "Cu", "Cu", "Cu", "Cu", "Cu", "Cu", "O", "O", "O", "O", "O", "O", "O", "O", "O", "O", "O", "O", "O", "O", "O", "O", "O", "O", "O", "O", "O", "O", "O", "O", "O", "O", "O", "O", "O", "O", "O", "O", "O", "O", "O", "O"], "frac_coords": [[0.0048, 0.0000, 0.0000], [0.6618, 0.3333, 0.3333], [0.8333, 0.1667, 0.1667], [0.4966, 0.5056, 0.5082], [0.1701, 0.8277, 0.8251], [0.4925, 0.0000, 0.0000], [0.1741, 0.3333, 0.3333], [0.8333, 0.6667, 0.6667], [0.8333, 0.1667, 0.6667], [0.4966, 0.5082, 0.9862], [0.1701, 0.8251, 0.3472], [0.1701, 0.3472, 0.8277], [0.8333, 0.6667, 0.1667], [0.4966, 0.9862, 0.5056], [0.9971, 0.4995, 0.4991], [0.6696, 0.8339, 0.8342], [0.3333, 0.1667, 0.1667], [0.6696, 0.3319, 0.8339], [0.3333, 0.6667, 0.1667], [0.9971, 0.0015, 0.4995], [0.3333, 0.1667, 0.6667], [0.9971, 0.4991, 0.0015], [0.6696, 0.8342, 0.3319], [0.2442, 0.4428, 0.6219], [0.9156, 0.7819, 0.9576], [0.5824, 0.1147, 0.2915], [0.3465, 0.3498, 0.1739], [0.0043, 0.6824, 0.5027], [0.6821, 0.0153, 0.8407], [0.9846, 0.3180, 0.4926], [0.6624, 0.6509, 0.8306], [0.3202, 0.9835, 0.1594], [0.0843, 0.2187, 0.0419], [0.7510, 0.5514, 0.3757], [0.4225, 0.8905, 0.7114], [0.4225, 0.3981, 0.8905], [0.0843, 0.7395, 0.2187], [0.7510, 0.0729, 0.5514], [0.6624, 0.5184, 0.6509], [0.3202, 0.8571, 0.9835], [0.9846, 0.1894, 0.3180], [0.6821, 0.1440, 0.0153], [0.3465, 0.4763, 0.3498], [0.0043, 0.8149, 0.6824], [0.9156, 0.2605, 0.7819], [0.5824, 0.5939, 0.1147], [0.2442, 0.9353, 0.4428], [0.0043, 0.5027, 0.8149], [0.6821, 0.8407, 0.1440], [0.3465, 0.1739, 0.4763], [0.5824, 0.2915, 0.5939], [0.2442, 0.6219, 0.9353], [0.9156, 0.9576, 0.2605], [0.7510, 0.3757, 0.0729], [0.4225, 0.7114, 0.3981], [0.0843, 0.0419, 0.7395], [0.3202, 0.1594, 0.8571], [0.9846, 0.4926, 0.1894], [0.6624, 0.8306, 0.5184]], "spacegroup": "P-3", "formation_energy_ev_per_atom": -2.653, "magmom_total_mub_per_fu": 15.3}

***

{"formula": "Eu2TiCuO6", "functional": "PBE-GGA", "state": "relaxed", "lattice": [[-4.7106, -3.0270, 0.4777], [1.0058, -2.3262, -4.8222], [4.9769, -7.9413, -1.2441]], "species": ["Eu", "Eu", "Eu", "Eu", "Ti", "Ti", "Cu", "Cu", "O", "O", "O", "O", "O", "O", "O", "O", "O", "O", "O", "O"], "frac_coords": [[0.9478, 0.7363, 0.7521], [0.4478, 0.2637, 0.7479], [0.0522, 0.2637, 0.2479], [0.5522, 0.7363, 0.2521], [0.5000, 0.0000, 0.5000], [0.0000, 0.0000, 0.0000], [0.5000, 0.5000, 0.0000], [0.0000, 0.5000, 0.5000], [0.1965, 0.3349, 0.9575], [0.6965, 0.6651, 0.5425], [0.7908, 0.2411, 0.4548], [0.2908, 0.7589, 0.0452], [0.8035, 0.6651, 0.0425], [0.3035, 0.3349, 0.4575], [0.2092, 0.7589, 0.5452], [0.7092, 0.2411, 0.9548], [0.5239, 0.8401, 0.7464], [0.0239, 0.1599, 0.7536], [0.4761, 0.1599, 0.2536], [0.9761, 0.8401, 0.2464]], "spacegroup": "P2_1/c", "formation_energy_ev_per_atom": -2.815, "magmom_total_mub_per_fu": 14.2}

***

{"formula": "Eu2Cu6P5", "functional": "PBE-GGA", "state": "relaxed", "lattice": [[-2.0273, 2.0273, 12.3792], [2.0273, -2.0273, 12.3792], [2.0273, 2.0273, -12.3792]], "species": ["Eu", "Eu", "Cu", "Cu", "Cu", "Cu", "Cu", "Cu", "P", "P", "P", "P", "P"], "frac_coords": [[0.6489, 0.6489, 0.0000], [0.3511, 0.3511, 0.0000], [0.4475, 0.9475, 0.5000], [0.9475, 0.4475, 0.5000], [0.5525, 0.0525, 0.5000], [0.0525, 0.5525, 0.5000], [0.7500, 0.2500, 0.5000], [0.2500, 0.7500, 0.5000], [0.5000, 0.5000, 0.0000], [0.8949, 0.8949, 0.0000], [0.1051, 0.1051, 0.0000], [0.8023, 0.8023, 0.0000], [0.1977, 0.1977, 0.0000]], "spacegroup": "I4/mmm", "formation_energy_ev_per_atom": -0.509, "magmom_total_mub_per_fu": 13.4}

***

{"formula": "Eu3Zn2Cu2P4", "functional": "PBE-GGA", "state": "relaxed", "lattice": [[-2.0469, -3.5453, 0.0000], [-2.0469, 3.5453, 0.0000], [0.0000, 0.0000, -15.0179]], "species": ["Eu", "Eu", "Eu", "Zn", "Zn", "Cu", "Cu", "P", "P", "P", "P"], "frac_coords": [[0.0000, 0.0000, 0.0000], [0.0000, 0.0000, 0.2727], [0.0000, 0.0000, 0.7273], [0.6667, 0.3333, 0.5601], [0.3333, 0.6667, 0.4399], [0.6667, 0.3333, 0.1365], [0.3333, 0.6667, 0.8635], [0.6667, 0.3333, 0.8641], [0.3333, 0.6667, 0.1359], [0.6667, 0.3333, 0.3934], [0.3333, 0.6667, 0.6066]], "spacegroup": "P-3m1", "formation_energy_ev_per_atom": -0.817, "magmom_total_mub_per_fu": 21.0}

***

{"formula": "EuCu3Pd2", "functional": "PBE-GGA", "state": "relaxed", "lattice": [[-1.6726, 1.5857, -3.6339], [4.6418, -0.4205, -2.3200], [-3.3693, -3.9674, -0.1805]], "species": ["Eu", "Cu", "Cu", "Cu", "Pd", "Pd"], "frac_coords": [[0.0000, 0.0000, 0.0000], [0.5000, 0.5000, 0.0000], [0.5000, 0.5000, 0.5000], [0.5000, 0.0000, 0.5000], [0.0000, 0.3333, 0.6666], [0.0000, 0.6667, 0.3334]], "spacegroup": "P6/mmm", "formation_energy_ev_per_atom": -0.362, "magmom_total_mub_per_fu": 6.8}